Record 1
# Ba2SnN2

A relaxed structure of Ba2SnN2 (PBE, the Materials Project database).

Cell lengths 6.9338, 6.9338, 13.4504 Å; angles 90.00, 90.00, 129.95 degrees
Fractional coordinates of all 20 atoms:
Ba 0.0419 0.9581 0.8557
Ba 0.1461 0.8539 0.4514
Ba 0.3539 0.6461 0.9514
Ba 0.4581 0.5419 0.3557
Ba 0.5419 0.4581 0.6443
Ba 0.6461 0.3539 0.0486
Ba 0.8539 0.1461 0.5486
Ba 0.9581 0.0419 0.1443
Sn 0.2458 0.7542 0.6861
Sn 0.2542 0.7458 0.1861
Sn 0.7458 0.2542 0.8139
Sn 0.7542 0.2458 0.3139
N 0.0817 0.9183 0.6428
N 0.1595 0.8405 0.0572
N 0.3405 0.6595 0.5572
N 0.4183 0.5817 0.1428
N 0.5817 0.4183 0.8572
N 0.6595 0.3405 0.4428
N 0.8405 0.1595 0.9428
N 0.9183 0.0817 0.3572

Record 2
# Ag6Sn3S10N2

A relaxed structure of Ag6Sn3S10N2 (PBE, the Materials Project database).

Cell lengths 22.7306, 6.6158, 13.9122 Å; angles 90.00, 90.00, 90.00 degrees
Fractional coordinates of all 84 atoms:
Ag 0.0316 0.0858 0.0915
Ag 0.0316 0.9142 0.5915
Ag 0.0827 0.0207 0.7982
Ag 0.0827 0.9793 0.2982
Ag 0.1094 0.4552 0.5172
Ag 0.1094 0.5448 0.0172
Ag 0.3906 0.0448 0.0172
Ag 0.3906 0.9552 0.5172
Ag 0.4173 0.4793 0.2982
Ag 0.4173 0.5207 0.7982
Ag 0.4684 0.4142 0.5915
Ag 0.4684 0.5858 0.0915
Ag 0.5316 0.4142 0.9085
Ag 0.5316 0.5858 0.4085
Ag 0.5827 0.4793 0.2018
Ag 0.5827 0.5207 0.7018
Ag 0.6094 0.0448 0.4828
Ag 0.6094 0.9552 0.9828
Ag 0.8906 0.4552 0.9828
Ag 0.8906 0.5448 0.4828
Ag 0.9173 0.0207 0.7018
Ag 0.9173 0.9793 0.2018
Ag 0.9684 0.0858 0.4085
Ag 0.9684 0.9142 0.9085
Sn 0.0000 0.4730 0.7500
Sn 0.0000 0.5270 0.2500
Sn 0.1967 0.0583 0.0519
Sn 0.1967 0.9417 0.5519
Sn 0.3033 0.4417 0.5519
Sn 0.3033 0.5583 0.0519
Sn 0.5000 0.0270 0.2500
Sn 0.5000 0.9730 0.7500
Sn 0.6967 0.4417 0.9481
Sn 0.6967 0.5583 0.4481
Sn 0.8033 0.0583 0.4481
Sn 0.8033 0.9417 0.9481
S 0.0528 0.3110 0.3643
S 0.0528 0.6890 0.8643
S 0.0681 0.2533 0.6606
S 0.0681 0.7467 0.1606
S 0.1090 0.1794 0.9680
S 0.1090 0.8206 0.4680
S 0.2108 0.2858 0.4845
S 0.2108 0.7142 0.9845
S 0.2208 0.1230 0.2449
S 0.2208 0.8770 0.7449
S 0.2792 0.3770 0.7449
S 0.2792 0.6230 0.2449
S 0.2892 0.2142 0.9845
S 0.2892 0.7858 0.4845
S 0.3910 0.3206 0.4680
S 0.3910 0.6794 0.9680
S 0.4319 0.2467 0.1606
S 0.4319 0.7533 0.6606
S 0.4472 0.1890 0.8643
S 0.4472 0.8110 0.3643
S 0.5528 0.1890 0.6357
S 0.5528 0.8110 0.1357
S 0.5681 0.2467 0.3394
S 0.5681 0.7533 0.8394
S 0.6090 0.3206 0.0320
S 0.6090 0.6794 0.5320
S 0.7108 0.2142 0.5155
S 0.7108 0.7858 0.0155
S 0.7208 0.3770 0.7551
S 0.7208 0.6230 0.2551
S 0.7792 0.1230 0.2551
S 0.7792 0.8770 0.7551
S 0.7892 0.2858 0.0155
S 0.7892 0.7142 0.5155
S 0.8910 0.1794 0.5320
S 0.8910 0.8206 0.0320
S 0.9319 0.2533 0.8394
S 0.9319 0.7467 0.3394
S 0.9472 0.3110 0.1357
S 0.9472 0.6890 0.6357
N 0.2215 0.4796 0.7621
N 0.2215 0.5204 0.2621
N 0.2785 0.0204 0.2621
N 0.2785 0.9796 0.7621
N 0.7215 0.0204 0.2379
N 0.7215 0.9796 0.7379
N 0.7785 0.4796 0.7379
N 0.7785 0.5204 0.2379

| no. | calculated formation energy (eV per atom) |
| --- | --- |
| 1 | -0.569 |
| 2 | 0.033 |